The following is a DFT calculation (PBE with a Hubbard U) of crystalline Mo2P2NO11 at its relaxed geometry.

abc: 9.7755 9.9080 12.6081
angles: 51.07 90.00 90.00
Sites, in units of the cell vectors:
1 Mo 0.4623 0.4788 0.4072
2 Mo 0.6948 0.2490 0.0790
3 Mo 0.1948 0.7510 0.4210
4 Mo 0.0377 0.4788 0.9072
5 Mo 0.8052 0.2490 0.5790
6 Mo 0.3052 0.7510 0.9210
7 Mo 0.9623 0.5212 0.0928
8 Mo 0.5377 0.5212 0.5928
9 O 0.0652 0.6114 0.5157
10 O 0.9454 0.4263 0.7958
11 O 0.6621 0.7534 0.7599
12 O 0.2081 0.5085 0.8053
13 O 0.8559 0.4347 0.0049
14 O 0.7518 0.2185 0.9392
15 O 0.3950 0.9883 0.8192
16 O 0.8379 0.7534 0.2599
17 O 0.3559 0.5653 0.4951
18 O 0.5546 0.4263 0.2958
19 O 0.6279 0.0822 0.7005
20 O 0.5093 0.7247 0.2687
21 O 0.7482 0.2185 0.4392
22 O 0.6441 0.4347 0.5049
23 O 0.1279 0.9178 0.7995
24 O 0.3423 0.7641 0.7535
25 O 0.8721 0.0822 0.2005
26 O 0.1441 0.5653 0.9951
27 O 0.9907 0.7247 0.7687
28 O 0.5652 0.3886 0.9843
29 O 0.1577 0.7641 0.2535
30 O 0.8950 0.0117 0.6808
31 O 0.4907 0.2753 0.7313
32 O 0.0093 0.2753 0.2313
33 O 0.3721 0.9178 0.2995
34 O 0.9348 0.3886 0.4843
35 O 0.2518 0.7815 0.5608
36 O 0.7919 0.4915 0.1947
37 O 0.2482 0.7815 0.0608
38 O 0.1050 0.9883 0.3192
39 O 0.2919 0.5085 0.3053
40 O 0.1621 0.2466 0.7401
41 O 0.8423 0.2359 0.7465
42 O 0.0839 0.2421 0.0621
43 O 0.7081 0.4915 0.6947
44 O 0.0546 0.5737 0.2042
45 O 0.4348 0.6114 0.0157
46 O 0.3379 0.2466 0.2401
47 O 0.9161 0.7579 0.9379
48 O 0.4454 0.5737 0.7042
49 O 0.4161 0.2421 0.5621
50 O 0.6577 0.2359 0.2465
51 O 0.5839 0.7579 0.4379
52 O 0.6050 0.0117 0.1808
53 P 0.6889 0.3413 0.2945
54 P 0.5142 0.8655 0.2907
55 P 0.9858 0.8655 0.7907
56 P 0.3111 0.6587 0.7055
57 P 0.4858 0.1345 0.7093
58 P 0.1889 0.6587 0.2055
59 P 0.8111 0.3413 0.7945
60 P 0.0142 0.1345 0.2093
61 N 0.3224 0.1328 0.9839
62 N 0.1776 0.1328 0.4839
63 N 0.8224 0.8672 0.5161
64 N 0.6776 0.8672 0.0161

***

The following is a DFT calculation (PBE with a Hubbard U) of crystalline Mn2O3F at its relaxed geometry.

abc: 5.4831 5.4831 8.8257
angles: 87.40 87.40 73.04
Sites, in units of the cell vectors:
1 O 0.4640 0.4640 0.7190
2 O 0.6927 0.3073 0.0000
3 O 0.0274 0.0274 0.7795
4 O 0.3073 0.6927 0.0000
5 O 0.9318 0.5534 0.7556
6 O 0.9726 0.9726 0.2205
7 O 0.7225 0.7225 0.4822
8 O 0.4466 0.0682 0.2444
9 O 0.0682 0.4466 0.2444
10 O 0.5534 0.9318 0.7556
11 O 0.2775 0.2775 0.5178
12 O 0.5360 0.5360 0.2810
13 Mn 0.0000 0.0000 0.0000
14 Mn 0.8621 0.8621 0.6393
15 Mn 0.2440 0.2440 0.7396
16 Mn 0.7560 0.7560 0.2604
17 Mn 0.3930 0.3930 0.1319
18 Mn 0.5000 0.5000 0.5000
19 Mn 0.1379 0.1379 0.3607
20 Mn 0.6070 0.6070 0.8681
21 F 0.2374 0.2374 0.9732
22 F 0.7626 0.7626 0.0268
23 F 0.1804 0.8196 0.5000
24 F 0.8196 0.1804 0.5000

***

The following is a DFT calculation (PBE with a Hubbard U) of crystalline EuMgCoO3 at its relaxed geometry.

abc: 3.8700 7.0325 3.8694
angles: 90.00 90.00 90.00
Sites, in units of the cell vectors:
1 O 0.5000 0.0000 0.0000
2 O 0.0000 0.5000 0.0000
3 O 0.0000 0.0000 0.5000
4 Co 0.0000 0.0000 0.0000
5 Eu 0.5000 0.5000 0.5000
6 Mg 0.5000 0.0000 0.5000

***

The following is a DFT calculation (PBE with a Hubbard U) of crystalline MgGe2WO6 at its relaxed geometry.

abc: 8.5180 5.5791 12.3336
angles: 79.37 90.00 90.00
Sites, in units of the cell vectors:
1 O 0.0012 0.2828 0.8012
2 O 0.2118 0.0315 0.3961
3 O 0.5012 0.2172 0.1988
4 O 0.2883 0.8427 0.1602
5 O 0.2882 0.5315 0.3961
6 O 0.8365 0.7977 0.3933
7 O 0.7883 0.6573 0.8398
8 O 0.6635 0.2977 0.3933
9 O 0.2117 0.3427 0.1602
10 O 0.4671 0.1623 0.5777
11 O 0.1635 0.2023 0.6067
12 O 0.9988 0.7172 0.1988
13 O 0.6425 0.6961 0.2277
14 O 0.7118 0.4685 0.6039
15 O 0.3575 0.3039 0.7723
16 O 0.4988 0.7828 0.8012
17 O 0.7882 0.9685 0.6039
18 O 0.0329 0.6623 0.5777
19 O 0.9671 0.3377 0.4223
20 O 0.3365 0.7023 0.6067
21 O 0.8575 0.1961 0.2277
22 O 0.7117 0.1573 0.8398
23 O 0.5329 0.8377 0.4223
24 O 0.1425 0.8039 0.7723
25 W 0.1621 0.4851 0.7076
26 W 0.8379 0.5149 0.2924
27 W 0.6621 0.0149 0.2924
28 W 0.3379 0.9851 0.7076
29 Ge 0.1592 0.2875 0.4623
30 Ge 0.6298 0.8478 0.9173
31 Ge 0.1298 0.6522 0.0827
32 Ge 0.8408 0.7125 0.5377
33 Ge 0.3408 0.7875 0.4623
34 Ge 0.3702 0.1522 0.0827
35 Ge 0.6592 0.2125 0.5377
36 Ge 0.8702 0.3478 0.9173
37 Mg 0.9185 0.9616 0.7643
38 Mg 0.4185 0.5384 0.2357
39 Mg 0.0815 0.0384 0.2357
40 Mg 0.5815 0.4616 0.7643

***

The following is a DFT calculation (PBE with a Hubbard U) of crystalline Mn3CrO8 at its relaxed geometry.

abc: 5.8719 5.8719 5.8719
angles: 59.74 59.74 59.74
Sites, in units of the cell vectors:
1 O 0.7303 0.2334 0.2334
2 O 0.7666 0.2697 0.7666
3 O 0.2675 0.2675 0.2675
4 O 0.7666 0.7666 0.2697
5 O 0.2334 0.2334 0.7303
6 O 0.7325 0.7325 0.7325
7 O 0.2334 0.7303 0.2334
8 O 0.2697 0.7666 0.7666
9 Mn 0.0000 0.5000 0.5000
10 Mn 0.5000 0.0000 0.5000
11 Mn 0.5000 0.5000 0.0000
12 Cr 0.0000 0.0000 0.0000

***

The following is a DFT calculation (PBE with a Hubbard U) of crystalline Li4Mn3Nb5O16 at its relaxed geometry.

abc: 6.2225 6.2225 10.0686
angles: 89.21 89.21 58.64
Sites, in units of the cell vectors:
1 Mn 0.3387 0.8291 0.2073
2 Mn 0.1627 0.1627 0.7116
3 Mn 0.8291 0.3387 0.2073
4 O 0.5306 0.5306 0.3553
5 O 0.0460 0.4936 0.8446
6 O 0.8328 0.8328 0.5945
7 O 0.8088 0.3401 0.5927
8 O 0.9721 0.5315 0.3485
9 O 0.9937 0.9937 0.8048
10 O 0.3262 0.3262 0.5901
11 O 0.3401 0.8088 0.5927
12 O 0.4864 0.4864 0.8570
13 O 0.1691 0.1691 0.0782
14 O 0.6847 0.6847 0.1050
15 O 0.5315 0.9721 0.3485
16 O 0.9928 0.9928 0.3040
17 O 0.1559 0.6555 0.0948
18 O 0.6555 0.1559 0.0948
19 O 0.4936 0.0460 0.8446
20 Nb 0.8267 0.8267 0.2273
21 Nb 0.6598 0.6598 0.4896
22 Nb 0.3306 0.3306 0.9984
23 Nb 0.6350 0.1832 0.7155
24 Nb 0.1832 0.6350 0.7155
25 Li 0.0022 0.0022 0.4889
26 Li 0.9985 0.9985 0.9880
27 Li 0.3420 0.3420 0.3997
28 Li 0.6718 0.6718 0.9088

***

Energy: -6.60, -6.90, -6.88, -6.58, -7.16, -7.92 (eV/atom)
DFT formation energy: -1522, -2033, -1866, -2087, -1809, -2607 (meV/atom)
M_tot: 7.00, 7.00, 9.97, 2.00, 11.00, 16.00 (μB per formula unit)